LaPb3: relaxed, r²SCAN.

Unit cell a=4.948 b=4.948 c=4.948 alpha=90.00 beta=90.00 gamma=90.00
Space group Pm-3m (No. 221)
One atom of each set of equivalent atoms:
La1 0.000 0.000 0.000 x1
Pb1 0.000 0.500 0.500 x3

raw total energy = -200.80 eV/cell
size of the total moment = 0.00 μB/f.u.
ΔE_f = -549 meV/atom

TbCoGe: relaxed, r²SCAN.

Unit cell a=7.018 b=4.308 c=7.053 alpha=90.00 beta=90.00 gamma=90.00
Space group Pnma (No. 62)
One atom of each set of equivalent atoms:
Tb1 0.021 0.250 0.200 x4
Co1 0.157 0.750 0.431 x4
Ge1 0.200 0.250 0.603 x4

raw total energy = -241.14 eV/cell
size of the total moment = 0.00 μB/f.u.
ΔE_f = -651 meV/atom

LaU2O6: relaxed, r²SCAN.

Unit cell a=3.982 b=5.468 c=11.337 alpha=90.00 beta=90.00 gamma=90.00
Space group Immm (No. 71)
One atom of each set of equivalent atoms:
La1 0.000 0.000 0.000 x2
U1 0.000 0.000 0.333 x4
O1 0.000 0.231 0.500 x4
O2 0.000 0.260 0.176 x8

raw total energy = -518.66 eV/cell
size of the total moment = 3.00 μB/f.u.
ΔE_f = -3763 meV/atom

Mg2GeB2Ir5: relaxed, r²SCAN.

Unit cell a=9.417 b=9.417 c=2.924 alpha=90.00 beta=90.00 gamma=90.00
Space group P4/mbm (No. 127)
One atom of each set of equivalent atoms:
Mg1 0.175 0.325 0.000 x4
Ge1 0.000 0.000 0.000 x2
B1 0.125 0.625 0.000 x4
Ir1 0.000 0.500 0.500 x2
Ir2 0.073 0.787 0.500 x8

raw total energy = -608.64 eV/cell
size of the total moment = 0.00 μB/f.u.
ΔE_f = -562 meV/atom

Ti2NbP3O12: relaxed, r²SCAN.

Unit cell a=8.6837 b=8.6837 c=20.8417 alpha=90.00 beta=90.00 gamma=120.00
Space group R-3c (No. 167, hexagonal axes)
One atom of each set of equivalent atoms:
Ti1 0.0000 0.0000 0.1426 x12
Nb1 0.0000 0.0000 0.0000 x6
P1 0.0000 0.2893 0.2500 x18
O1 0.0034 0.1942 0.3104 x36
O2 0.0212 0.1894 0.9218 x36

raw total energy = -1179.60 eV/cell
size of the total moment = 1.40 μB/f.u.
ΔE_f = -2629 meV/atom

Sr3OsN3: relaxed, r²SCAN.

Unit cell a=7.7965 b=7.7965 c=5.3145 alpha=90.00 beta=90.00 gamma=120.00
Space group P-6 (No. 174)
One atom of each set of equivalent atoms:
Sr1 0.0236 0.5936 0.0000 x3
Sr2 0.3094 0.0724 0.5000 x3
Os1 0.0000 0.0000 0.0000 x1
Os2 0.3333 0.6667 0.5000 x1
N1 0.0844 0.6445 0.5000 x3
N2 0.2499 0.0241 0.0000 x3

raw total energy = -261.83 eV/cell
size of the total moment = 2.01 μB/f.u.
ΔE_f = -729 meV/atom

Repeat the second record exactly.
TbCoGe: relaxed, r²SCAN.

Unit cell a=7.018 b=4.308 c=7.053 alpha=90.00 beta=90.00 gamma=90.00
Space group Pnma (No. 62)
One atom of each set of equivalent atoms:
Tb1 0.021 0.250 0.200 x4
Co1 0.157 0.750 0.431 x4
Ge1 0.200 0.250 0.603 x4

raw total energy = -241.14 eV/cell
size of the total moment = 0.00 μB/f.u.
ΔE_f = -651 meV/atom

- Number 1 is which compound?
  LaPb3